Record 1
Na4LaInSiP2O12 | PBE | relaxed

```
Na4LaInSiP2O12
1.0
9.509 0.000 0.000
4.750 8.239 0.000
0.034 0.050 23.226
Na La In Si P O
24 6 6 6 12 72
direct
0.000 0.000 0.000
0.000 0.377 0.507
0.257 0.372 0.008
0.264 0.720 0.507
0.289 0.038 0.925
0.293 0.401 0.669
0.302 0.661 0.177
0.309 0.038 0.422
0.333 0.696 0.850
0.342 0.317 0.338
0.601 0.705 0.340
0.611 0.069 0.845
0.633 0.356 0.252
0.639 0.997 0.499
0.643 0.725 0.008
0.650 0.356 0.759
0.667 0.035 0.182
0.673 0.661 0.674
0.933 0.039 0.681
0.939 0.401 0.171
0.955 0.328 0.848
0.969 0.061 0.335
0.975 0.685 0.092
0.975 0.686 0.589
0.293 0.036 0.776
0.298 0.040 0.078
0.298 0.040 0.577
0.633 0.364 0.600
0.634 0.361 0.406
0.970 0.697 0.750
0.308 0.035 0.272
0.637 0.366 0.107
0.641 0.361 0.912
0.968 0.696 0.943
0.968 0.699 0.435
0.971 0.696 0.242
0.303 0.342 0.176
0.313 0.375 0.504
0.670 0.987 0.337
0.927 0.373 0.007
0.960 0.006 0.847
0.984 0.348 0.675
0.259 0.711 0.338
0.280 0.396 0.848
0.304 0.719 0.675
0.339 0.654 0.007
0.608 0.724 0.177
0.614 0.031 0.676
0.643 0.066 0.008
0.645 0.675 0.504
0.665 0.692 0.847
0.947 0.042 0.505
0.980 0.397 0.338
0.997 0.032 0.178
0.002 0.476 0.393
0.075 0.240 0.732
0.085 0.057 0.230
0.089 0.262 0.616
0.099 0.001 0.122
0.111 0.211 0.009
0.122 0.013 0.507
0.124 0.025 0.849
0.134 0.224 0.335
0.135 0.542 0.499
0.142 0.527 0.182
0.148 0.705 0.676
0.159 0.731 0.393
0.163 0.485 0.899
0.166 0.670 0.005
0.181 0.682 0.284
0.210 0.488 0.791
0.263 0.272 0.118
0.268 0.871 0.333
0.292 0.213 0.504
0.292 0.815 0.620
0.305 0.222 0.847
0.319 0.806 0.729
0.321 0.826 0.009
0.340 0.218 0.231
0.390 0.402 0.564
0.420 0.552 0.062
0.433 0.347 0.449
0.435 0.564 0.340
0.440 0.572 0.952
0.449 0.386 0.853
0.456 0.547 0.675
0.471 0.356 0.170
0.487 0.002 0.336
0.493 0.847 0.506
0.494 0.040 0.011
0.494 0.808 0.229
0.495 0.849 0.847
0.514 0.042 0.730
0.531 0.015 0.621
0.535 0.826 0.122
0.615 0.171 0.953
0.622 0.552 0.173
0.624 0.587 0.452
0.626 0.188 0.675
0.641 0.541 0.851
0.648 0.171 0.338
0.663 0.150 0.062
0.664 0.577 0.560
0.753 0.881 0.397
0.758 0.668 0.790
0.758 0.711 0.899
0.781 0.703 0.182
0.782 0.901 0.281
0.786 0.880 0.677
0.794 0.187 0.850
0.802 0.687 0.501
0.802 0.896 0.005
0.804 0.363 0.674
0.817 0.399 0.066
0.826 0.379 0.340
0.827 0.191 0.173
0.846 0.346 0.950
0.849 0.121 0.561
0.864 0.155 0.453
0.938 0.935 0.786
0.944 0.541 0.005
0.952 0.877 0.500
0.959 0.501 0.284
0.968 0.529 0.676
0.974 0.881 0.183
0.987 0.882 0.901
```

Magnetic moment   0.00 μB/f.u.
Density   3.44 g/cm³
Symmetry   P1, No. 1
MP2020-corrected energy   -879.88 eV per cell



Record 2
Na10La4In4Si5S7O48 | PBE | relaxed

```
Na10La4In4Si5S7O48
1.0
9.398 0.000 0.000
-0.001 16.250 0.000
-0.076 -0.394 23.816
Na La In Si S O
30 12 12 15 21 144
direct
0.000 0.000 0.000
0.002 0.652 0.346
0.117 0.495 0.499
0.122 0.157 0.855
0.130 0.813 0.850
0.156 0.473 0.831
0.159 0.141 0.161
0.275 0.656 0.424
0.281 0.329 0.753
0.298 0.976 0.084
0.311 0.986 0.589
0.324 0.338 0.252
0.350 0.671 0.932
0.431 0.475 0.328
0.446 0.138 0.658
0.471 0.806 0.336
0.502 0.166 0.350
0.609 0.004 0.503
0.668 0.641 0.161
0.671 0.969 0.835
0.769 0.833 0.761
0.776 0.496 0.096
0.777 0.159 0.419
0.806 0.488 0.582
0.815 0.151 0.917
0.823 0.832 0.251
0.937 0.975 0.324
0.948 0.640 0.655
0.956 0.308 0.992
0.974 0.311 0.340
0.301 0.969 0.237
0.302 0.320 0.602
0.302 0.969 0.743
0.306 0.978 0.432
0.323 0.649 0.774
0.791 0.151 0.571
0.797 0.492 0.946
0.801 0.145 0.072
0.804 0.814 0.604
0.809 0.143 0.775
0.814 0.805 0.410
0.820 0.473 0.741
0.291 0.632 0.267
0.293 0.640 0.571
0.297 0.983 0.942
0.299 0.312 0.912
0.312 0.316 0.108
0.315 0.315 0.405
0.329 0.637 0.073
0.790 0.806 0.910
0.793 0.143 0.270
0.796 0.468 0.242
0.808 0.816 0.107
0.813 0.481 0.433
0.099 0.477 0.340
0.152 0.498 0.674
0.155 0.817 0.336
0.168 0.165 0.009
0.451 0.162 0.503
0.455 0.833 0.848
0.461 0.494 0.175
0.618 0.982 0.341
0.642 0.992 0.673
0.654 0.671 0.014
0.656 0.333 0.338
0.947 0.994 0.171
0.960 0.649 0.507
0.970 0.329 0.850
0.997 0.974 0.851
0.001 0.317 0.496
0.007 0.647 0.171
0.100 0.812 0.007
0.116 0.148 0.673
0.145 0.139 0.335
0.158 0.792 0.669
0.166 0.462 0.009
0.446 0.133 0.845
0.457 0.786 0.172
0.462 0.470 0.501
0.484 0.806 0.506
0.490 0.472 0.842
0.493 0.155 0.175
0.593 0.314 0.005
0.606 0.642 0.666
0.644 0.301 0.675
0.650 0.622 0.335
0.650 0.958 0.004
0.955 0.638 0.838
0.960 0.299 0.175
0.960 0.970 0.504
0.000 0.789 0.669
0.000 0.827 0.054
0.008 0.463 0.007
0.012 0.500 0.398
0.020 0.151 0.624
0.021 0.803 0.953
0.035 0.151 0.727
0.085 0.657 0.225
0.090 0.326 0.548
0.094 0.314 0.446
0.094 0.998 0.907
0.100 0.958 0.796
0.106 0.640 0.123
0.114 0.643 0.837
0.117 0.979 0.507
0.120 0.299 0.173
0.123 0.994 0.171
0.138 0.637 0.508
0.149 0.325 0.848
0.163 0.887 0.287
0.166 0.084 0.384
0.190 0.738 0.015
0.190 0.889 0.006
0.195 0.220 0.952
0.198 0.543 0.734
0.199 0.551 0.619
0.202 0.755 0.724
0.203 0.393 0.346
0.204 0.558 0.332
0.205 0.072 0.670
0.206 0.408 0.055
0.209 0.878 0.666
0.210 0.102 0.285
0.211 0.221 0.345
0.216 0.220 0.674
0.217 0.745 0.621
0.218 0.405 0.672
0.221 0.547 0.015
0.222 0.212 0.068
0.224 0.429 0.954
0.232 0.069 0.007
0.235 0.856 0.391
0.243 0.729 0.324
0.368 0.744 0.846
0.380 0.884 0.900
0.382 0.217 0.852
0.386 0.067 0.504
0.387 0.402 0.165
0.387 0.542 0.843
0.388 0.100 0.791
0.389 0.431 0.450
0.394 0.531 0.235
0.394 0.553 0.507
0.394 0.732 0.514
0.395 0.744 0.122
0.396 0.883 0.507
0.398 0.214 0.447
0.399 0.082 0.175
0.399 0.229 0.174
0.404 0.394 0.845
0.404 0.872 0.171
0.409 0.080 0.892
0.411 0.208 0.563
0.417 0.743 0.225
0.434 0.421 0.551
0.435 0.883 0.790
0.437 0.559 0.124
0.467 0.993 0.669
0.477 0.663 0.012
0.482 0.315 0.347
0.485 0.298 0.676
0.492 0.629 0.331
0.494 0.969 0.002
0.500 0.969 0.291
0.504 0.315 0.953
0.507 0.316 0.056
0.508 0.644 0.617
0.527 0.648 0.719
0.533 0.996 0.401
0.560 0.797 0.451
0.573 0.469 0.790
0.578 0.161 0.228
0.583 0.482 0.892
0.585 0.151 0.126
0.589 0.816 0.552
0.604 0.139 0.843
0.616 0.478 0.493
0.616 0.787 0.171
0.628 0.150 0.499
0.629 0.823 0.850
0.641 0.493 0.179
0.658 0.394 0.285
0.681 0.572 0.386
0.684 0.239 0.002
0.686 0.910 0.055
0.690 0.387 0.007
0.692 0.039 0.732
0.692 0.048 0.617
0.692 0.565 0.664
0.694 0.387 0.675
0.695 0.256 0.725
0.698 0.262 0.623
0.700 0.718 0.956
0.706 0.713 0.666
0.708 0.707 0.342
0.709 0.919 0.952
0.711 0.716 0.072
0.714 0.900 0.672
0.717 0.587 0.284
0.718 0.066 0.335
0.720 0.041 0.007
0.721 0.899 0.341
0.724 0.577 0.014
0.734 0.240 0.328
0.741 0.373 0.393
0.873 0.900 0.167
0.886 0.052 0.843
0.886 0.556 0.502
0.887 0.040 0.229
0.889 0.051 0.505
0.897 0.603 0.785
0.899 0.722 0.846
0.902 0.889 0.856
0.903 0.262 0.122
0.903 0.383 0.180
0.903 0.695 0.564
0.909 0.047 0.115
0.910 0.392 0.496
0.911 0.234 0.844
0.911 0.720 0.167
0.912 0.374 0.908
0.912 0.572 0.173
0.913 0.929 0.451
0.914 0.242 0.498
0.914 0.921 0.552
0.919 0.583 0.885
0.921 0.247 0.224
0.926 0.700 0.449
0.938 0.390 0.797
0.974 0.498 0.671
0.984 0.797 0.342
0.986 0.458 0.288
0.988 0.151 0.329
0.989 0.158 0.009
```

Magnetic moment   0.00 μB/f.u.
Density   3.26 g/cm³
Symmetry   P1, No. 1
MP2020-corrected energy   -1599.02 eV per cell